1.
Material: K6MnS4
Method: DFT, meta-GGA r2SCAN
State: relaxed

Structure (CIF):
```
data_K6MnS4
_chemical_formula_sum 'K12 Mn2 S8'
_cell_length_a 9.8516
_cell_length_b 9.8516
_cell_length_c 7.7060
_cell_angle_alpha 90.00
_cell_angle_beta 90.00
_cell_angle_gamma 120.00
_symmetry_space_group_name_H-M 'P 63 m c'
_symmetry_Int_Tables_number 186
_symmetry_space_group_name_Hall 'P 6c -2c'
loop_
_atom_site_label
_atom_site_type_symbol
_atom_site_fract_x
_atom_site_fract_y
_atom_site_fract_z
K1 K 0.0597 0.5299 0.0000
K2 K 0.1467 0.2933 0.6755
Mn1 Mn 0.3333 0.6667 0.3857
S1 S 0.1963 0.3926 0.2863
S2 S 0.3333 0.6667 0.7049
```

Computed properties:
M_tot = 10.0 μB/cell


2.
Material: KMnSe2
Method: DFT, meta-GGA r2SCAN
State: relaxed

Structure (CIF):
```
data_KMnSe2
_chemical_formula_sum 'K2 Mn2 Se4'
_cell_length_a 3.926
_cell_length_b 3.926
_cell_length_c 13.853
_cell_angle_alpha 90.00
_cell_angle_beta 90.00
_cell_angle_gamma 90.00
_symmetry_space_group_name_H-M 'I -4 m 2'
_symmetry_Int_Tables_number 119
_symmetry_space_group_name_Hall 'I -4 -2'
loop_
_atom_site_label
_atom_site_type_symbol
_atom_site_fract_x
_atom_site_fract_y
_atom_site_fract_z
K1 K 0.000 0.000 0.000
Mn1 Mn 0.000 0.500 0.750
Se1 Se 0.000 0.000 0.356
```

Computed properties:
M_tot = 8.0 μB/cell


3.
Material: K2MnSe2
Method: DFT, meta-GGA r2SCAN
State: relaxed

Structure (CIF):
```
data_K2MnSe2
_chemical_formula_sum 'K8 Mn4 Se8'
_cell_length_a 7.076
_cell_length_b 13.239
_cell_length_c 6.523
_cell_angle_alpha 90.00
_cell_angle_beta 90.00
_cell_angle_gamma 90.00
_symmetry_space_group_name_H-M 'I b a m'
_symmetry_Int_Tables_number 72
_symmetry_space_group_name_Hall '-I 2 2c'
loop_
_atom_site_label
_atom_site_type_symbol
_atom_site_fract_x
_atom_site_fract_y
_atom_site_fract_z
K1 K 0.166 0.146 0.000
Mn1 Mn 0.000 0.500 0.250
Se1 Se 0.198 0.394 0.000
```

Computed properties:
M_tot = 20.0 μB/cell


4.
Material: K6MnSe4
Method: DFT, meta-GGA r2SCAN
State: relaxed

Structure (CIF):
```
data_K6MnSe4
_chemical_formula_sum 'K12 Mn2 Se8'
_cell_length_a 10.2497
_cell_length_b 10.2497
_cell_length_c 7.9693
_cell_angle_alpha 90.00
_cell_angle_beta 90.00
_cell_angle_gamma 120.00
_symmetry_space_group_name_H-M 'P 63 m c'
_symmetry_Int_Tables_number 186
_symmetry_space_group_name_Hall 'P 6c -2c'
loop_
_atom_site_label
_atom_site_type_symbol
_atom_site_fract_x
_atom_site_fract_y
_atom_site_fract_z
K1 K 0.0562 0.5281 0.0000
K2 K 0.1468 0.2935 0.6759
Mn1 Mn 0.3333 0.6667 0.3838
Se1 Se 0.1948 0.3897 0.2833
Se2 Se 0.3333 0.6667 0.7082
```

Computed properties:
M_tot = 10.0 μB/cell


5.
Material: K2MnSnSe4
Method: DFT, meta-GGA r2SCAN
State: relaxed

Structure (CIF):
```
data_K2MnSnSe4
_chemical_formula_sum 'K8 Mn4 Sn4 Se16'
_cell_length_a 10.658
_cell_length_b 10.658
_cell_length_c 8.356
_cell_angle_alpha 90.00
_cell_angle_beta 90.00
_cell_angle_gamma 90.00
_symmetry_space_group_name_H-M 'P -4 n 2'
_symmetry_Int_Tables_number 118
loop_
_symmetry_equiv_pos_as_xyz
'x,y,z'
'y,-x,-z'
'-x,-y,z'
'-y,x,-z'
'-x+1/2,y+1/2,z+1/2'
'-y+1/2,-x+1/2,-z+1/2'
'x+1/2,-y+1/2,z+1/2'
'y+1/2,x+1/2,-z+1/2'
loop_
_atom_site_label
_atom_site_type_symbol
_atom_site_fract_x
_atom_site_fract_y
_atom_site_fract_z
K1 K 0.000 0.000 0.000
K2 K 0.000 0.500 0.250
K3 K 0.247 0.253 0.250
Mn1 Mn 0.000 0.000 0.500
Mn2 Mn 0.000 0.500 0.750
Sn1 Sn 0.221 0.279 0.750
Se1 Se 0.029 0.305 0.929
Se2 Se 0.068 0.788 0.391
```

Computed properties:
M_tot = 20.0 μB/cell


6.
Material: K2Mo2O7
Method: DFT, meta-GGA r2SCAN
State: relaxed

Structure (CIF):
```
data_K2Mo2O7
_chemical_formula_sum 'K4 Mo4 O14'
_cell_length_a 6.959
_cell_length_b 7.231
_cell_length_c 7.538
_cell_angle_alpha 82.38
_cell_angle_beta 68.52
_cell_angle_gamma 85.81
_symmetry_space_group_name_H-M 'P -1'
_symmetry_Int_Tables_number 2
loop_
_symmetry_equiv_pos_as_xyz
'x,y,z'
'-x,-y,-z'
loop_
_atom_site_label
_atom_site_type_symbol
_atom_site_fract_x
_atom_site_fract_y
_atom_site_fract_z
K1 K 0.195 0.339 0.343
K2 K 0.261 0.881 0.066
Mo1 Mo 0.253 0.412 0.808
Mo2 Mo 0.326 0.850 0.555
O1 O 0.011 0.591 0.149
O2 O 0.118 0.961 0.713
O3 O 0.212 0.707 0.456
O4 O 0.324 0.270 0.981
O5 O 0.351 0.650 0.768
O6 O 0.380 0.314 0.593
O7 O 0.442 0.030 0.358
```

Computed properties:
M_tot = 0.0 μB/cell


7.
Material: K2Mo4O13
Method: DFT, meta-GGA r2SCAN
State: relaxed

Structure (CIF):
```
data_K2Mo4O13
_chemical_formula_sum 'K4 Mo8 O26'
_cell_length_a 8.012
_cell_length_b 8.352
_cell_length_c 10.053
_cell_angle_alpha 107.22
_cell_angle_beta 103.24
_cell_angle_gamma 109.61
_symmetry_space_group_name_H-M 'P -1'
_symmetry_Int_Tables_number 2
loop_
_symmetry_equiv_pos_as_xyz
'x,y,z'
'-x,-y,-z'
loop_
_atom_site_label
_atom_site_type_symbol
_atom_site_fract_x
_atom_site_fract_y
_atom_site_fract_z
K1 K 0.190 0.239 0.310
K2 K 0.245 0.785 0.434
Mo1 Mo 0.273 0.200 0.706
Mo2 Mo 0.275 0.605 0.726
Mo3 Mo 0.311 0.504 0.050
Mo4 Mo 0.327 0.908 0.062
O1 O 0.087 0.643 0.654
O2 O 0.096 0.982 0.643
O3 O 0.139 0.345 0.661
O4 O 0.153 0.942 0.960
O5 O 0.179 0.282 0.908
O6 O 0.210 0.634 0.944
O7 O 0.215 0.510 0.185
O8 O 0.294 0.943 0.229
O9 O 0.368 0.187 0.568
O10 O 0.396 0.617 0.607
O11 O 0.450 0.863 0.880
O12 O 0.463 0.515 0.864
O13 O 0.476 0.214 0.854
```

Computed properties:
M_tot = 0.0 μB/cell


8.
Material: KMoP2O8
Method: DFT, meta-GGA r2SCAN
State: relaxed

Structure (CIF):
```
data_KMoP2O8
_chemical_formula_sum 'K4 Mo4 P8 O32'
_cell_length_a 5.083
_cell_length_b 11.730
_cell_length_c 12.516
_cell_angle_alpha 90.00
_cell_angle_beta 113.06
_cell_angle_gamma 90.00
_symmetry_space_group_name_H-M 'P 1 21/c 1'
_symmetry_Int_Tables_number 14
loop_
_symmetry_equiv_pos_as_xyz
'x,y,z'
'-x,-y,-z'
'-x,y+1/2,-z+1/2'
'x,-y+1/2,z+1/2'
loop_
_atom_site_label
_atom_site_type_symbol
_atom_site_fract_x
_atom_site_fract_y
_atom_site_fract_z
K1 K 0.173 0.133 0.448
Mo1 Mo 0.407 0.120 0.167
P1 P 0.111 0.063 0.865
P2 P 0.117 0.693 0.852
O1 O 0.043 0.212 0.115
O2 O 0.068 0.174 0.785
O3 O 0.145 0.586 0.919
O4 O 0.187 0.527 0.648
O5 O 0.243 0.528 0.316
O6 O 0.296 0.104 0.983
O7 O 0.407 0.737 0.859
O8 O 0.495 0.136 0.310
```

Computed properties:
M_tot = 4.0 μB/cell


9.
Material: K3Mo12PO40
Method: DFT, meta-GGA r2SCAN
State: relaxed

Structure (CIF):
```
data_K3Mo12PO40
_chemical_formula_sum 'K6 Mo24 P2 O80'
_cell_length_a 11.589
_cell_length_b 11.589
_cell_length_c 11.589
_cell_angle_alpha 90.00
_cell_angle_beta 90.00
_cell_angle_gamma 90.00
_symmetry_space_group_name_H-M 'P n -3 m'
_symmetry_Int_Tables_number 224
loop_
_symmetry_equiv_pos_as_xyz
'x,y,z'
'-x,-y,-z'
'-y,x+1/2,z+1/2'
'y,-x+1/2,-z+1/2'
'-x+1/2,-y+1/2,z'
'x+1/2,y+1/2,-z'
'y+1/2,-x,z+1/2'
'-y+1/2,x,-z+1/2'
'x,-y+1/2,-z+1/2'
'-x,y+1/2,z+1/2'
'-y,-x,-z'
'y,x,z'
'-x+1/2,y,-z+1/2'
'x+1/2,-y,z+1/2'
'y+1/2,x+1/2,-z'
'-y+1/2,-x+1/2,z'
'z,x,y'
'-z,-x,-y'
'z+1/2,-y,x+1/2'
'-z+1/2,y,-x+1/2'
'z,-x+1/2,-y+1/2'
'-z,x+1/2,y+1/2'
'z+1/2,y+1/2,-x'
'-z+1/2,-y+1/2,x'
'-z+1/2,x,-y+1/2'
'z+1/2,-x,y+1/2'
'-z,-y,-x'
'z,y,x'
'-z+1/2,-x+1/2,y'
'z+1/2,x+1/2,-y'
'-z,y+1/2,x+1/2'
'z,-y+1/2,-x+1/2'
'y,z,x'
'-y,-z,-x'
'x+1/2,z+1/2,-y'
'-x+1/2,-z+1/2,y'
'-y+1/2,z,-x+1/2'
'y+1/2,-z,x+1/2'
'-x,z+1/2,y+1/2'
'x,-z+1/2,-y+1/2'
'-y+1/2,-z+1/2,x'
'y+1/2,z+1/2,-x'
'-x,-z,-y'
'x,z,y'
'y,-z+1/2,-x+1/2'
'-y,z+1/2,x+1/2'
'x+1/2,-z,y+1/2'
'-x+1/2,z,-y+1/2'
loop_
_atom_site_label
_atom_site_type_symbol
_atom_site_fract_x
_atom_site_fract_y
_atom_site_fract_z
K1 K 0.250 0.250 0.750
Mo1 Mo 0.033 0.033 0.242
P1 P 0.250 0.250 0.250
O1 O 0.006 0.652 0.848
O2 O 0.038 0.623 0.623
O3 O 0.068 0.068 0.731
O4 O 0.174 0.174 0.174
```

Computed properties:
M_tot = 0.0 μB/cell


Short version: calculated formation energy = -1.314, -1.015, -1.294, -1.321, -1.056, -2.274, -2.204, -2.373, -2.198 eV/atom, in the order given.